(1)
Material: Te2Os
Method: DFT, PBE-GGA
State: optimized geometry

Structure (POSCAR):
```
Te2Os
1.0
6.4712 0.0000 0.0000
0.0000 6.4712 0.0000
0.0000 0.0000 6.4712
Te Os
8 4
Direct
0.1279 0.1279 0.1279 Te
0.1279 0.3721 0.6279 Te
0.3721 0.6279 0.1279 Te
0.3721 0.8721 0.6279 Te
0.6279 0.1279 0.3721 Te
0.6279 0.3721 0.8721 Te
0.8721 0.6279 0.3721 Te
0.8721 0.8721 0.8721 Te
0.0000 0.0000 0.5000 Os
0.0000 0.5000 0.0000 Os
0.5000 0.0000 0.0000 Os
0.5000 0.5000 0.5000 Os
```

Values from the calculation:
ΔH_f (0 K) = -0.072 eV per atom
SG = Pa-3, No. 205
E = -5.910 eV/atom



(2)
Material: Na5La3ZrSi3S3O24
Method: DFT, PBE-GGA
State: optimized geometry

Structure (POSCAR):
```
Na5La3ZrSi3S3O24
1.0
9.5661 0.0000 0.0000
4.7707 8.3124 0.0000
0.2698 -0.1021 24.0660
Na La Zr Si S O
15 9 3 9 9 72
Direct
0.0000 0.0000 0.0000 Na
0.0001 0.2796 0.9128 Na
0.3053 0.6742 0.0885 Na
0.3093 0.6370 0.5848 Na
0.3142 0.9546 0.1614 Na
0.6041 0.6567 0.0124 Na
0.6080 0.3638 0.5160 Na
0.6145 0.6817 0.6625 Na
0.6465 0.0109 0.7494 Na
0.6584 0.9973 0.2542 Na
0.6724 0.6691 0.3354 Na
0.9244 0.9865 0.6744 Na
0.9272 0.7033 0.1829 Na
0.9752 0.6305 0.4979 Na
0.9938 0.3405 0.4237 Na
0.2757 0.6825 0.9301 La
0.2770 0.6674 0.4370 La
0.5994 0.0133 0.6009 La
0.6135 0.0001 0.4059 La
0.6135 0.0033 0.1027 La
0.6152 0.0040 0.8942 La
0.9447 0.3342 0.7697 La
0.9460 0.3362 0.2679 La
0.9560 0.3210 0.0764 La
0.2709 0.6650 0.7312 Zr
0.2733 0.6751 0.2359 Zr
0.9441 0.3623 0.5712 Zr
0.3047 0.3085 0.5029 Si
0.3129 0.0014 0.0049 Si
0.6245 0.6853 0.5057 Si
0.6366 0.6430 0.1692 Si
0.6485 0.3458 0.6679 Si
0.9528 0.6383 0.6698 Si
0.9596 0.0157 0.1693 Si
0.9777 0.6735 0.3360 Si
0.9850 0.9646 0.8339 Si
0.2405 0.0253 0.6690 S
0.2557 0.3502 0.1717 S
0.2896 0.3747 0.8311 S
0.2924 0.9569 0.3309 S
0.5709 0.3770 0.3327 S
0.5749 0.6742 0.8312 S
0.6222 0.3083 0.0017 S
0.9184 0.6972 0.0032 S
0.9186 0.0190 0.5072 S
0.0622 0.6751 0.3943 O
0.0627 0.8836 0.8949 O
0.0805 0.8765 0.4993 O
0.0828 0.6764 0.9994 O
0.0954 0.6711 0.2818 O
0.1078 0.8407 0.7820 O
0.1203 0.6532 0.6764 O
0.1263 0.1563 0.0021 O
0.1258 0.8339 0.1792 O
0.1282 0.3171 0.5140 O
0.1419 0.1154 0.6207 O
0.1442 0.3596 0.8310 O
0.1553 0.1217 0.3287 O
0.1557 0.3797 0.1216 O
0.1744 0.1149 0.7207 O
0.1772 0.3251 0.2204 O
0.2401 0.8670 0.6716 O
0.2604 0.4995 0.5005 O
0.2706 0.4972 0.1789 O
0.2831 0.8792 0.3823 O
0.2903 0.4742 0.7828 O
0.2914 0.4529 0.8836 O
0.2915 0.8602 0.2816 O
0.3013 0.8316 0.0034 O
0.3888 0.2044 0.4460 O
0.3999 0.9916 0.0650 O
0.4118 0.9834 0.6639 O
0.4176 0.2086 0.1656 O
0.4277 0.0010 0.9535 O
0.4348 0.2332 0.5527 O
0.4373 0.2148 0.8261 O
0.4494 0.9545 0.3283 O
0.4563 0.6606 0.1816 O
0.4684 0.4807 0.2865 O
0.4751 0.5217 0.6769 O
0.4774 0.6683 0.7845 O
0.4792 0.6422 0.5011 O
0.4818 0.4746 0.9995 O
0.4998 0.4540 0.3867 O
0.5017 0.6691 0.8857 O
0.5810 0.8261 0.8274 O
0.5887 0.2156 0.3286 O
0.6042 0.8302 0.1674 O
0.6083 0.7871 0.5616 O
0.6115 0.2308 0.0533 O
0.6302 0.1861 0.6623 O
0.6331 0.2106 0.9528 O
0.6540 0.7696 0.4498 O
0.7129 0.5467 0.1098 O
0.7302 0.3693 0.3295 O
0.7390 0.5345 0.8311 O
0.7424 0.3722 0.6119 O
0.7663 0.5569 0.2195 O
0.7684 0.3084 0.7196 O
0.7733 0.3203 0.0023 O
0.7959 0.8337 0.3303 O
0.7991 0.5060 0.5101 O
0.8010 0.8221 0.6653 O
0.8080 0.9762 0.8282 O
0.8089 0.9809 0.1684 O
0.8137 0.0435 0.4586 O
0.8187 0.7905 0.9557 O
0.8457 0.7882 0.0557 O
0.8474 0.9901 0.5577 O
0.9233 0.5401 0.0048 O
0.9248 0.5474 0.7207 O
0.9299 0.1673 0.5134 O
0.9478 0.1351 0.2188 O
0.9546 0.5131 0.3348 O
0.9714 0.5286 0.6124 O
0.9764 0.1385 0.8341 O
0.9970 0.0800 0.1103 O
```

Values from the calculation:
Corrected total energy (MP2020 scheme) = -7.38 eV/atom
ΔH_f (0 K) = -2.828 eV per atom
SG = P1, No. 1
E = -6.954 eV/atom



(3)
Material: Cs5YO4
Method: DFT, PBE-GGA
State: optimized geometry

Structure (POSCAR):
```
Cs5YO4
1.0
11.9173 0.0000 0.0000
0.0000 13.4354 0.0000
-1.1073 0.0000 7.4932
Cs Y O
20 4 16
Direct
0.0008 0.1438 0.4213 Cs
0.0008 0.3562 0.9213 Cs
0.1288 0.0724 0.9385 Cs
0.1288 0.4276 0.4385 Cs
0.2689 0.6969 0.5012 Cs
0.2689 0.8031 0.0012 Cs
0.3519 0.1814 0.6675 Cs
0.3519 0.3186 0.1675 Cs
0.4913 0.5756 0.2375 Cs
0.4913 0.9244 0.7375 Cs
0.5087 0.0756 0.2625 Cs
0.5087 0.4244 0.7625 Cs
0.6481 0.6814 0.8325 Cs
0.6481 0.8186 0.3325 Cs
0.7311 0.1969 0.9988 Cs
0.7311 0.3031 0.4988 Cs
0.8712 0.5724 0.5615 Cs
0.8712 0.9276 0.0615 Cs
0.9992 0.6438 0.0787 Cs
0.9992 0.8562 0.5787 Cs
0.2451 0.5331 0.8878 Y
0.2451 0.9669 0.3878 Y
0.7549 0.0331 0.6122 Y
0.7549 0.4669 0.1122 Y
0.1011 0.6065 0.7349 O
0.1011 0.8935 0.2349 O
0.2262 0.5389 0.1673 O
0.2262 0.9611 0.6673 O
0.2610 0.1227 0.3128 O
0.2610 0.3773 0.8128 O
0.4005 0.6114 0.8499 O
0.4005 0.8886 0.3499 O
0.5995 0.1114 0.6501 O
0.5995 0.3886 0.1501 O
0.7390 0.6227 0.1872 O
0.7390 0.8773 0.6872 O
0.7738 0.0389 0.3327 O
0.7738 0.4611 0.8327 O
0.8989 0.1065 0.7651 O
0.8989 0.3935 0.2651 O
```

Values from the calculation:
Corrected total energy (MP2020 scheme) = -4.97 eV/atom
ΔH_f (0 K) = -1.892 eV per atom
SG = P2_1/c, No. 14
E = -4.691 eV/atom
Polymorph energy (0 for the lowest one) = 0.00 kcal/mol of atoms



(4)
Material: As2O3
Method: DFT, PBE-GGA
State: optimized geometry

Structure (POSCAR):
```
As2O3
1.0
8.8272 0.0000 0.0000
0.0000 4.6125 0.0000
-2.3925 0.0000 8.5967
As O
8 12
Direct
0.0964 0.0000 0.1152 As
0.1204 0.3859 0.5849 As
0.3689 0.9611 0.9350 As
0.3934 0.5324 0.3943 As
0.6066 0.0324 0.6057 As
0.6311 0.4611 0.0650 As
0.8796 0.8859 0.4151 As
0.9036 0.5000 0.8848 As
0.0187 0.8309 0.9224 O
0.0664 0.7651 0.5464 O
0.2399 0.3280 0.4499 O
0.2725 0.1387 0.0701 O
0.4656 0.7347 0.5775 O
0.4812 0.2771 0.9096 O
0.5188 0.7771 0.0904 O
0.5344 0.2347 0.4225 O
0.7275 0.6387 0.9299 O
0.7601 0.8280 0.5501 O
0.9336 0.2651 0.4536 O
0.9813 0.3309 0.0776 O
```

Values from the calculation:
Corrected total energy (MP2020 scheme) = -6.44 eV/atom
ΔH_f (0 K) = -1.609 eV per atom
SG = P2_1, No. 4
E = -6.029 eV/atom



(5)
Material: SiO2
Method: DFT, PBE-GGA
State: optimized geometry

Structure (POSCAR):
```
SiO2
1.0
4.5398 -9.7448 0.0000
4.5398 9.7448 0.0000
0.0000 0.0000 10.4472
Si O
16 32
Direct
0.0307 0.6168 0.8849 Si
0.1168 0.5307 0.3849 Si
0.1300 0.2207 0.1171 Si
0.2207 0.1300 0.8829 Si
0.2793 0.3700 0.3829 Si
0.3700 0.2793 0.6171 Si
0.3832 0.9693 0.8849 Si
0.4693 0.8832 0.3849 Si
0.5307 0.1168 0.6151 Si
0.6168 0.0307 0.1151 Si
0.6300 0.7207 0.3829 Si
0.7207 0.6300 0.6171 Si
0.7793 0.8700 0.1171 Si
0.8700 0.7793 0.8829 Si
0.8832 0.4693 0.6151 Si
0.9693 0.3832 0.1151 Si
0.0000 0.5000 0.0000 O
0.0000 0.5000 0.5000 O
0.0192 0.4808 0.2500 O
0.0323 0.9677 0.8706 O
0.0836 0.3355 0.0899 O
0.1645 0.4164 0.4101 O
0.2214 0.7786 0.8804 O
0.2294 0.2706 0.2500 O
0.2421 0.2421 0.0000 O
0.2579 0.2579 0.5000 O
0.2706 0.2294 0.7500 O
0.2786 0.7214 0.3804 O
0.3355 0.0836 0.9101 O
0.4164 0.1645 0.5899 O
0.4677 0.5323 0.3706 O
0.4808 0.0192 0.7500 O
0.5000 0.0000 0.0000 O
0.5000 0.0000 0.5000 O
0.5192 0.9808 0.2500 O
0.5323 0.4677 0.6294 O
0.5836 0.8355 0.4101 O
0.6645 0.9164 0.0899 O
0.7214 0.2786 0.6196 O
0.7294 0.7706 0.2500 O
0.7421 0.7421 0.5000 O
0.7579 0.7579 0.0000 O
0.7706 0.7294 0.7500 O
0.7786 0.2214 0.1196 O
0.8355 0.5836 0.5899 O
0.9164 0.6645 0.9101 O
0.9677 0.0323 0.1294 O
0.9808 0.5192 0.7500 O
```

Values from the calculation:
Corrected total energy (MP2020 scheme) = -8.36 eV/atom
ΔH_f (0 K) = -3.253 eV per atom
SG = Cmce, No. 64
E = -7.902 eV/atom



(6)
Material: Cr2HgS4
Method: DFT, PBE-GGA
State: optimized geometry

Structure (POSCAR):
```
Cr2HgS4
1.0
12.4622 0.0000 0.0000
0.0000 3.5591 0.0000
0.0000 0.0000 11.7365
Cr Hg S
8 4 16
Direct
0.0904 0.2500 0.0837 Cr
0.1745 0.2500 0.7078 Cr
0.3255 0.7500 0.2078 Cr
0.4096 0.7500 0.5837 Cr
0.5904 0.2500 0.4163 Cr
0.6745 0.2500 0.7922 Cr
0.8255 0.7500 0.2922 Cr
0.9096 0.7500 0.9163 Cr
0.1333 0.7500 0.4200 Hg
0.3667 0.2500 0.9200 Hg
0.6333 0.7500 0.0800 Hg
0.8667 0.2500 0.5800 Hg
0.0394 0.2500 0.8801 S
0.0733 0.7500 0.6238 S
0.1938 0.2500 0.2625 S
0.2109 0.7500 0.0472 S
0.2891 0.2500 0.5472 S
0.3062 0.7500 0.7625 S
0.4267 0.2500 0.1238 S
0.4606 0.7500 0.3801 S
0.5394 0.2500 0.6199 S
0.5733 0.7500 0.8762 S
0.6938 0.2500 0.2375 S
0.7109 0.7500 0.4528 S
0.7891 0.2500 0.9528 S
0.8062 0.7500 0.7375 S
0.9267 0.2500 0.3762 S
0.9606 0.7500 0.1199 S
```

Values from the calculation:
Corrected total energy (MP2020 scheme) = -5.88 eV/atom
ΔH_f (0 K) = -0.717 eV per atom
SG = Pnma, No. 62
E = -5.594 eV/atom
Polymorph energy (0 for the lowest one) = 3.16 kcal/mol of atoms



(7)
Material: La4MgCo
Method: DFT, PBE-GGA
State: optimized geometry

Structure (POSCAR):
```
La4MgCo
1.0
0.0000 7.1030 7.1030
7.1030 0.0000 7.1030
7.1030 7.1030 0.0000
La Mg Co
16 4 4
Direct
0.0316 0.6561 0.6561 La
0.0602 0.0602 0.4398 La
0.0602 0.4398 0.0602 La
0.0602 0.4398 0.4398 La
0.1881 0.1881 0.8119 La
0.1881 0.8119 0.1881 La
0.1881 0.8119 0.8119 La
0.4398 0.0602 0.0602 La
0.4398 0.0602 0.4398 La
0.4398 0.4398 0.0602 La
0.6561 0.0316 0.6561 La
0.6561 0.6561 0.0316 La
0.6561 0.6561 0.6561 La
0.8119 0.1881 0.1881 La
0.8119 0.1881 0.8119 La
0.8119 0.8119 0.1881 La
0.4218 0.4218 0.4218 Mg
0.4218 0.4218 0.7346 Mg
0.4218 0.7346 0.4218 Mg
0.7346 0.4218 0.4218 Mg
0.4207 0.8598 0.8598 Co
0.8598 0.4207 0.8598 Co
0.8598 0.8598 0.4207 Co
0.8598 0.8598 0.8598 Co
```

Values from the calculation:
ΔH_f (0 K) = -0.115 eV per atom
SG = F-43m, No. 216
E = -4.857 eV/atom



(8)
Material: Li2AgSn2
Method: DFT, PBE-GGA
State: optimized geometry

Structure (POSCAR):
```
Li2AgSn2
1.0
-2.3077 2.3077 10.1870
2.3077 -2.3077 10.1870
2.3077 2.3077 -10.1870
Li Ag Sn
4 2 4
Direct
0.0492 0.2992 0.7500 Li
0.2992 0.0492 0.2500 Li
0.7008 0.9508 0.7500 Li
0.9508 0.7008 0.2500 Li
0.1250 0.8750 0.2500 Ag
0.8750 0.1250 0.7500 Ag
0.2032 0.4532 0.7500 Sn
0.4532 0.2032 0.2500 Sn
0.5468 0.7968 0.7500 Sn
0.7968 0.5468 0.2500 Sn
```

Values from the calculation:
ΔH_f (0 K) = -0.312 eV per atom
SG = I4_1/amd, No. 141
E = -3.245 eV/atom



(9)
Material: NdAs3
Method: DFT, PBE-GGA
State: optimized geometry

Structure (POSCAR):
```
NdAs3
1.0
4.1888 0.0000 0.0000
0.0000 4.1888 0.0000
0.0000 0.0000 10.0770
Nd As
2 6
Direct
0.0000 0.0000 0.0000 Nd
0.5000 0.5000 0.5000 Nd
0.0000 0.0000 0.5000 As
0.0000 0.5000 0.2500 As
0.0000 0.5000 0.7500 As
0.5000 0.0000 0.2500 As
0.5000 0.0000 0.7500 As
0.5000 0.5000 0.0000 As
```

Values from the calculation:
ΔH_f (0 K) = -0.519 eV per atom
SG = I4/mmm, No. 139
E = -5.205 eV/atom



(10)
Material: K5Na3Nb8O24
Method: DFT, PBE-GGA
State: optimized geometry

Structure (POSCAR):
```
K5Na3Nb8O24
1.0
8.0797 0.0000 0.0000
0.0000 8.0797 0.0000
0.0000 0.0000 8.0796
K Na Nb O
5 3 8 24
Direct
0.0000 0.0000 0.0000 K
0.0000 0.0000 0.5000 K
0.0000 0.5000 0.0000 K
0.5000 0.0000 0.0000 K
0.5000 0.5000 0.0000 K
0.0000 0.5000 0.5000 Na
0.5000 0.0000 0.5000 Na
0.5000 0.5000 0.5000 Na
0.2505 0.2505 0.2516 Nb
0.2505 0.2505 0.7484 Nb
0.2505 0.7495 0.2516 Nb
0.2505 0.7495 0.7484 Nb
0.7495 0.2505 0.2516 Nb
0.7495 0.2505 0.7484 Nb
0.7495 0.7495 0.2516 Nb
0.7495 0.7495 0.7484 Nb
0.0000 0.2520 0.2529 O
0.0000 0.2520 0.7471 O
0.0000 0.7480 0.2529 O
0.0000 0.7480 0.7471 O
0.2505 0.2505 0.0000 O
0.2505 0.5000 0.2543 O
0.2505 0.5000 0.7457 O
0.2505 0.7495 0.0000 O
0.2520 0.0000 0.2529 O
0.2520 0.0000 0.7471 O
0.2518 0.2518 0.5000 O
0.2518 0.7482 0.5000 O
0.5000 0.2505 0.2543 O
0.5000 0.2505 0.7457 O
0.5000 0.7495 0.2543 O
0.5000 0.7495 0.7457 O
0.7480 0.0000 0.2529 O
0.7480 0.0000 0.7471 O
0.7482 0.2518 0.5000 O
0.7482 0.7482 0.5000 O
0.7495 0.2505 0.0000 O
0.7495 0.5000 0.2543 O
0.7495 0.5000 0.7457 O
0.7495 0.7495 0.0000 O
```

Values from the calculation:
Corrected total energy (MP2020 scheme) = -8.06 eV/atom
ΔH_f (0 K) = -2.828 eV per atom
SG = P4/mmm, No. 123
E = -7.643 eV/atom



(11)
Material: EuB6
Method: DFT, PBE-GGA
State: optimized geometry

Structure (POSCAR):
```
EuB6
1.0
4.1705 0.0000 0.0000
0.0000 4.1705 0.0000
0.0000 0.0000 4.1705
Eu B
1 6
Direct
0.0000 0.0000 0.0000 Eu
0.2014 0.5000 0.5000 B
0.5000 0.2014 0.5000 B
0.5000 0.5000 0.2014 B
0.5000 0.5000 0.7986 B
0.5000 0.7986 0.5000 B
0.7986 0.5000 0.5000 B
```

Values from the calculation:
ΔH_f (0 K) = -0.476 eV per atom
SG = Pm-3m, No. 221
E = -7.667 eV/atom



What is the formula in the ninth record?
NdAs3



The highest ΔH_f (0 K) belongs to which entry?
Te2Os



What did the eleventh record say?
Material: EuB6
Method: DFT, PBE-GGA
State: optimized geometry

Structure (POSCAR):
```
EuB6
1.0
4.1705 0.0000 0.0000
0.0000 4.1705 0.0000
0.0000 0.0000 4.1705
Eu B
1 6
Direct
0.0000 0.0000 0.0000 Eu
0.2014 0.5000 0.5000 B
0.5000 0.2014 0.5000 B
0.5000 0.5000 0.2014 B
0.5000 0.5000 0.7986 B
0.5000 0.7986 0.5000 B
0.7986 0.5000 0.5000 B
```

Values from the calculation:
ΔH_f (0 K) = -0.476 eV per atom
SG = Pm-3m, No. 221
E = -7.667 eV/atom



Look up the ΔH_f (0 K) of the second one.
-2.828 eV per atom